Below is a relaxed structure of La3InC, with properties calculated at the PBE-GGA level.

Calculated values
As for the raw total energy: -5.6777 eV per atom. The value obtained for the energy of formation is -31 kJ/mol of atoms. For the density, the calculation gives 6.237 g/cm³. As for the space group: No. 221.

Lattice parameters (Å, degrees): 5.250 5.250 5.250 90.00 90.00 90.00
Positions (direct):
La 0.500 0.000 0.500
La 0.000 0.500 0.500
C 0.500 0.500 0.500
In 0.000 0.000 0.000
La 0.500 0.500 0.000